Compound: Na2MgB12H16O28
Source: the Materials Project
Functional: GGA-PBE
Structure: relaxed

Properties
Spin magnetization ... 0.0 μB/cell
Symmetry ... P2_1/c, No. 14
E_tot ... -700.245 eV per cell

Lattice parameters (Å, degrees): 11.4324 9.7388 10.1618 86.63 90.00 90.00
Positions (direct):
O 0.0122 0.5354 0.2185
O 0.4778 0.8597 0.5850
H 0.7761 0.6325 0.1867
O 0.5054 0.2924 0.0802
B 0.1779 0.2090 0.1805
H 0.8693 0.3469 0.3245
B 0.1971 0.9775 0.5265
O 0.2873 0.8749 0.4673
O 0.7551 0.6746 0.8403
H 0.7951 0.6140 0.9119
B 0.6814 0.5887 0.2101
B 0.3186 0.4113 0.7899
H 0.3693 0.1531 0.6755
H 0.3623 0.9242 0.4801
O 0.7430 0.3846 0.4879
O 0.2551 0.8254 0.1597
H 0.1006 0.9561 0.4844
O 0.7449 0.1746 0.8403
H 0.9571 0.7658 0.6907
B 0.9857 0.6488 0.2755
O 0.6073 0.8603 0.1316
B 0.3221 0.7090 0.1805
H 0.2049 0.3860 0.0881
H 0.5838 0.2800 0.0378
O 0.0860 0.7091 0.7357
B 0.4769 0.0255 0.9059
O 0.5860 0.7909 0.2643
B 0.4857 0.8512 0.7245
B 0.9769 0.4745 0.0941
O 0.4477 0.7226 0.5387
H 0.4571 0.7342 0.3093
O 0.8603 0.8859 0.8937
O 0.2570 0.6154 0.5121
O 0.0325 0.2172 0.7789
O 0.9946 0.7924 0.0802
H 0.8994 0.0439 0.5156
H 0.2951 0.8860 0.0881
H 0.0838 0.2200 0.9622
O 0.5940 0.5371 0.1556
H 0.6006 0.5439 0.5156
H 0.5429 0.2658 0.6907
B 0.3029 0.4775 0.5265
B 0.1814 0.9113 0.7899
H 0.2761 0.8675 0.8133
H 0.7049 0.1140 0.9119
Na 0.1028 0.9438 0.2722
O 0.9675 0.7828 0.2211
O 0.4178 0.9444 0.0130
H 0.8623 0.5758 0.5199
O 0.6397 0.3859 0.8937
B 0.6662 0.2764 0.5330
B 0.8338 0.7764 0.5330
O 0.1074 0.6397 0.8684
O 0.1265 0.1988 0.3244
O 0.4675 0.7172 0.7789
O 0.9060 0.0371 0.1556
O 0.5325 0.2828 0.2211
O 0.6265 0.3012 0.6756
B 0.1662 0.2236 0.4670
O 0.5222 0.1403 0.4150
O 0.0822 0.4444 0.0130
O 0.0054 0.2076 0.9198
O 0.8735 0.8012 0.6756
O 0.3735 0.6988 0.3244
B 0.5143 0.1488 0.2755
O 0.9140 0.2909 0.2643
O 0.5122 0.9646 0.7815
O 0.4060 0.4629 0.8444
H 0.3994 0.4561 0.4844
B 0.8221 0.7910 0.8195
H 0.6307 0.8469 0.3245
O 0.0523 0.2226 0.5387
B 0.0143 0.3512 0.7245
H 0.2239 0.3675 0.8133
Na 0.8972 0.0562 0.7278
O 0.0940 0.9629 0.8444
O 0.7873 0.6251 0.5327
O 0.3603 0.6141 0.1063
O 0.7127 0.1251 0.5327
O 0.2449 0.3254 0.1597
B 0.5231 0.9745 0.0941
O 0.8926 0.3603 0.1316
H 0.4162 0.7200 0.9622
O 0.9778 0.6403 0.4150
B 0.3338 0.7236 0.4670
H 0.3104 0.4340 0.6490
O 0.5523 0.2774 0.4613
O 0.0222 0.3597 0.5850
Mg 0.5000 0.5000 0.0000
H 0.1377 0.4242 0.4801
O 0.2430 0.1154 0.5121
O 0.7570 0.8846 0.4879
O 0.4878 0.0354 0.2185
H 0.7239 0.1325 0.1867
B 0.6971 0.5225 0.4735
H 0.9162 0.7800 0.0378
H 0.6377 0.0758 0.5199
O 0.2127 0.3749 0.4673
O 0.9178 0.5556 0.9870
Na 0.6028 0.5562 0.7278
H 0.8104 0.0660 0.3510
O 0.4946 0.7076 0.9198
B 0.8186 0.0887 0.2101
H 0.0429 0.2342 0.3093
Mg 0.0000 0.0000 0.0000
O 0.3926 0.1397 0.8684
Na 0.3972 0.4438 0.2722
B 0.6779 0.2910 0.8195
B 0.8029 0.0225 0.4735
H 0.6896 0.5660 0.3510
H 0.1307 0.6531 0.6755
B 0.0231 0.5255 0.9059
O 0.1397 0.1141 0.1063
O 0.5822 0.0556 0.9870
O 0.9477 0.7774 0.4613
O 0.4140 0.2091 0.7357
H 0.1896 0.9340 0.6490
O 0.9878 0.4646 0.7815


Compound: ZnB2H8
Source: the Materials Project
Functional: GGA-PBE
Structure: relaxed

Properties
Spin magnetization ... 0.0 μB/cell
Symmetry ... Pmc2_1, No. 26
E_tot ... -83.826 eV per cell

Lattice parameters (Å, degrees): 4.2330 4.9844 8.1609 90.00 90.00 90.00
Positions (direct):
Zn 0.0000 0.7167 0.5100
H 0.7500 0.4848 0.1801
H 0.5000 0.0807 0.3527
H 0.5000 0.9193 0.8527
B 0.0000 0.5380 0.2485
H 0.2500 0.4848 0.1801
H 0.7196 0.9941 0.5673
Zn 0.0000 0.2833 0.0100
H 0.5000 0.2989 0.9297
H 0.7500 0.5152 0.6801
H 0.5000 0.7011 0.4297
H 0.0000 0.7824 0.2600
H 0.0000 0.4016 0.3756
H 0.2500 0.5152 0.6801
H 0.2804 0.9941 0.5673
B 0.5000 0.9379 0.4699
H 0.0000 0.5984 0.8756
B 0.0000 0.4620 0.7485
B 0.5000 0.0621 0.9699
H 0.2804 0.0059 0.0673
H 0.0000 0.2176 0.7600
H 0.7196 0.0059 0.0673


Compound: Na2U2O7
Source: the Materials Project
Functional: GGA-PBE
Structure: relaxed

Properties
Spin magnetization ... 0.0 μB/cell
Symmetry ... P2_1/c, No. 14
E_tot ... -364.381 eV per cell

Lattice parameters (Å, degrees): 6.9282 7.9196 12.4528 90.00 79.33 90.00
Positions (direct):
O 0.9630 0.3200 0.7377
O 0.7251 0.9969 0.9105
O 0.2933 0.7708 0.5979
O 0.3294 0.5018 0.1036
O 0.7749 0.4969 0.5895
Na 0.0004 0.2542 0.4940
O 0.7933 0.7292 0.0979
O 0.1099 0.0012 0.7701
O 0.0790 0.2842 0.2586
O 0.6803 0.7756 0.4057
O 0.2749 0.0031 0.0895
U 0.2802 0.5070 0.2563
O 0.3197 0.2244 0.5943
U 0.7198 0.4930 0.7437
O 0.4210 0.7842 0.2414
Na 0.0000 0.5000 0.0000
O 0.7067 0.2292 0.4021
Na 0.9996 0.7458 0.5060
Na 0.4996 0.7542 0.0060
O 0.8197 0.2756 0.0943
U 0.2198 0.0070 0.2437
U 0.7389 0.7522 0.2518
O 0.6706 0.4982 0.8964
O 0.1803 0.7244 0.9057
U 0.7611 0.2522 0.2482
U 0.2389 0.7478 0.7518
Na 0.0000 0.0000 0.0000
O 0.5790 0.2158 0.7586
U 0.2611 0.2478 0.7482
O 0.2067 0.2708 0.9021
Na 0.5000 0.5000 0.5000
U 0.7802 0.9930 0.7563
O 0.3901 0.5012 0.7299
O 0.1706 0.0018 0.3964
O 0.9210 0.7158 0.7414
O 0.8294 0.9982 0.6036
Na 0.5000 0.0000 0.5000
O 0.2251 0.5031 0.4105
O 0.0370 0.6800 0.2623
O 0.5370 0.8200 0.7623
O 0.6099 0.4988 0.2701
O 0.4630 0.1800 0.2377
O 0.8901 0.9988 0.2299
Na 0.5004 0.2458 0.9940


Compound: EuPPt
Source: the Materials Project
Functional: GGA-PBE
Structure: relaxed

Properties
Symmetry ... P-6m2, No. 187
E_tot ... -25.269 eV per cell

Lattice parameters (Å, degrees): 4.1399 4.1399 4.3072 90.00 90.00 120.00
Positions (direct):
Eu 0.6667 0.3333 0.0000
Pt 0.0000 0.0000 0.5000
P 0.3333 0.6667 0.5000